The following is a DFT calculation (PBE) of crystalline Tm2Mn12P7 at its relaxed geometry.

a = 9.256 Å, b = 9.256 Å, c = 3.581 Å
α = 90.00°, β = 90.00°, γ = 120.00°
Positions (direct):
Mn (0.436, 0.895, 0.500)
P (0.052, 0.257, 0.500)
Mn (0.176, 0.786, 0.000)
P (0.455, 0.376, 0.000)
Mn (0.458, 0.564, 0.500)
Tm (0.000, 0.000, 0.000)
P (0.205, 0.948, 0.500)
Mn (0.610, 0.824, 0.000)
Mn (0.710, 0.618, 0.000)
P (0.921, 0.545, 0.000)
P (0.743, 0.795, 0.500)
Mn (0.941, 0.711, 0.500)
Mn (0.908, 0.290, 0.000)
Mn (0.770, 0.059, 0.500)
P (0.624, 0.079, 0.000)
P (0.333, 0.667, 0.000)
Tm (0.667, 0.333, 0.500)
Mn (0.105, 0.542, 0.500)
Mn (0.289, 0.230, 0.500)
Mn (0.382, 0.092, 0.000)
Mn (0.214, 0.390, 0.000)

Results
- energy relative to the elements (eV per atom) = -0.718
- spin magnetization (μB/atom) = 0.76
- calculated total energy (eV/f.u.) = -171.86

---

The following is a DFT calculation (PBE) of crystalline UMn4P2 at its relaxed geometry.

a = 7.024 Å, b = 7.024 Å, c = 3.619 Å
α = 90.00°, β = 90.00°, γ = 90.00°
Positions (direct):
Mn (0.583, 0.155, 0.500)
Mn (0.345, 0.083, 0.000)
Mn (0.655, 0.917, 0.000)
U (0.000, 0.000, 0.500)
Mn (0.155, 0.583, 0.500)
U (0.500, 0.500, 0.000)
Mn (0.417, 0.845, 0.500)
Mn (0.845, 0.417, 0.500)
Mn (0.917, 0.655, 0.000)
P (0.218, 0.782, 0.000)
Mn (0.083, 0.345, 0.000)
P (0.718, 0.718, 0.500)
P (0.282, 0.282, 0.500)
P (0.782, 0.218, 0.000)

Results
- energy relative to the elements (eV per atom) = -0.581
- calculated total energy (eV/f.u.) = -62.83

---

The following is a DFT calculation (PBE) of crystalline U2Mn12P7 at its relaxed geometry.

a = 9.258 Å, b = 9.258 Å, c = 3.578 Å
α = 90.00°, β = 90.00°, γ = 120.00°
Positions (direct):
Mn (0.054, 0.614, 0.500)
Mn (0.940, 0.373, 0.000)
P (0.407, 0.294, 0.000)
P (0.706, 0.113, 0.000)
Mn (0.877, 0.769, 0.500)
Mn (0.153, 0.276, 0.000)
Mn (0.627, 0.567, 0.000)
P (0.887, 0.593, 0.000)
U (0.333, 0.667, 0.000)
Mn (0.559, 0.946, 0.500)
Mn (0.123, 0.847, 0.000)
Mn (0.892, 0.123, 0.500)
Mn (0.386, 0.441, 0.500)
P (0.595, 0.714, 0.500)
P (0.119, 0.405, 0.500)
Mn (0.231, 0.108, 0.500)
P (0.286, 0.881, 0.500)
Mn (0.433, 0.060, 0.000)
Mn (0.724, 0.877, 0.000)
P (0.000, 0.000, 0.000)
U (0.667, 0.333, 0.500)

Results
- energy relative to the elements (eV per atom) = -0.658
- calculated total energy (eV/f.u.) = -184.24

---

The following is a DFT calculation (PBE) of crystalline MnVP2 at its relaxed geometry.

a = 3.064 Å, b = 5.329 Å, c = 6.052 Å
α = 90.00°, β = 90.00°, γ = 90.00°
Positions (direct):
V (0.000, 0.506, 0.451)
P (0.500, 0.817, 0.300)
V (0.000, 0.006, 0.549)
Mn (0.500, 0.991, 0.938)
P (0.500, 0.317, 0.700)
Mn (0.500, 0.491, 0.062)
P (0.000, 0.687, 0.826)
P (0.000, 0.187, 0.174)

Results
- energy relative to the elements (eV per atom) = -0.682
- calculated total energy (eV/f.u.) = -31.80

---

The following is a DFT calculation (PBE) of crystalline Mn3VP4 at its relaxed geometry.

a = 3.141 Å, b = 5.309 Å, c = 5.947 Å
α = 89.79°, β = 90.00°, γ = 90.00°
Positions (direct):
Mn (0.500, 0.004, 0.194)
P (0.000, 0.306, 0.063)
P (0.000, 0.817, 0.437)
Mn (0.000, 0.995, 0.803)
P (0.500, 0.186, 0.573)
Mn (0.000, 0.494, 0.694)
P (0.500, 0.690, 0.929)
V (0.500, 0.507, 0.307)

Results
- energy relative to the elements (eV per atom) = -0.627
- spin magnetization (μB/atom) = 0.61
- calculated total energy (eV/f.u.) = -63.24

---

The following is a DFT calculation (PBE) of crystalline Zr2Mn4P3 at its relaxed geometry.

a = 12.635 Å, b = 12.635 Å, c = 3.585 Å
α = 90.00°, β = 90.00°, γ = 120.00°
Positions (direct):
Mn (0.627, 0.826, 0.000)
P (0.509, 0.830, 0.500)
Zr (0.456, 0.456, 0.000)
P (0.170, 0.679, 0.500)
Mn (0.802, 0.174, 0.000)
P (0.826, 0.000, 0.000)
P (0.337, 0.000, 0.000)
P (0.491, 0.321, 0.500)
P (0.679, 0.170, 0.500)
Zr (0.828, 0.828, 0.500)
Mn (0.174, 0.802, 0.000)
P (0.830, 0.509, 0.500)
Mn (0.657, 0.532, 0.500)
Zr (0.333, 0.667, 0.000)
P (0.663, 0.663, 0.000)
Mn (0.284, 0.284, 0.500)
Zr (0.000, 0.544, 0.000)
Mn (0.198, 0.373, 0.000)
Zr (0.172, 0.000, 0.500)
Zr (0.544, 0.000, 0.000)
Zr (0.000, 0.172, 0.500)
Mn (0.373, 0.198, 0.000)
P (0.174, 0.174, 0.000)
Mn (0.000, 0.000, 0.000)
Mn (0.125, 0.468, 0.500)
Zr (0.667, 0.333, 0.000)
Mn (0.716, 0.000, 0.500)
Mn (0.875, 0.343, 0.500)
P (0.000, 0.826, 0.000)
Mn (0.826, 0.627, 0.000)
Mn (0.532, 0.657, 0.500)
P (0.321, 0.491, 0.500)
Mn (0.468, 0.125, 0.500)
Mn (0.000, 0.716, 0.500)
P (0.000, 0.337, 0.000)
Mn (0.343, 0.875, 0.500)

Results
- energy relative to the elements (eV per atom) = -0.870
- spin magnetization (μB/atom) = 0.78
- calculated total energy (eV/f.u.) = -77.82

---

The following is a DFT calculation (PBE) of crystalline MnSb6Pb4S14 at its relaxed geometry.

a = 19.379 Å, b = 4.036 Å, c = 15.979 Å
α = 87.98°, β = 90.00°, γ = 90.00°
Positions (direct):
S (0.605, 0.516, 0.417)
S (0.601, 0.448, 0.003)
Pb (0.260, 0.564, 0.073)
Sb (0.049, 0.123, 0.603)
S (0.496, 0.530, 0.213)
S (0.269, 0.081, 0.448)
Sb (0.160, 0.123, 0.371)
S (0.044, 0.026, 0.903)
S (0.899, 0.448, 0.503)
S (0.841, 0.942, 0.318)
Pb (0.240, 0.564, 0.573)
Mn (0.500, 0.500, 0.500)
Sb (0.438, 0.909, 0.682)
Mn (0.000, 0.500, 0.000)
Sb (0.938, 0.091, 0.818)
Sb (0.951, 0.877, 0.397)
Sb (0.840, 0.877, 0.629)
S (0.004, 0.530, 0.713)
S (0.731, 0.919, 0.552)
Sb (0.549, 0.877, 0.897)
S (0.395, 0.484, 0.583)
S (0.996, 0.470, 0.287)
Pb (0.140, 0.539, 0.815)
S (0.659, 0.942, 0.818)
S (0.202, 0.595, 0.277)
S (0.399, 0.552, 0.997)
S (0.544, 0.974, 0.597)
S (0.298, 0.595, 0.777)
S (0.895, 0.516, 0.917)
Sb (0.562, 0.091, 0.318)
Sb (0.451, 0.123, 0.103)
Sb (0.062, 0.909, 0.182)
S (0.159, 0.058, 0.682)
S (0.798, 0.405, 0.723)
S (0.702, 0.405, 0.223)
Pb (0.860, 0.461, 0.185)
Sb (0.340, 0.123, 0.871)
S (0.456, 0.026, 0.403)
Pb (0.760, 0.436, 0.427)
S (0.341, 0.058, 0.182)
Pb (0.640, 0.461, 0.685)
Sb (0.660, 0.877, 0.129)
Pb (0.360, 0.539, 0.315)
S (0.769, 0.919, 0.052)
S (0.231, 0.081, 0.948)
S (0.956, 0.974, 0.097)
S (0.105, 0.484, 0.083)
S (0.504, 0.470, 0.787)
S (0.101, 0.552, 0.497)
Pb (0.740, 0.436, 0.927)

Results
- energy relative to the elements (eV per atom) = -0.647
- spin magnetization (μB/atom) = 0.20
- calculated total energy (eV/f.u.) = -115.83

---

The following is a DFT calculation (PBE) of crystalline MnPd at its relaxed geometry.

a = 3.127 Å, b = 3.127 Å, c = 3.127 Å
α = 90.00°, β = 90.00°, γ = 90.00°
Positions (direct):
Pd (0.500, 0.500, 0.500)
Mn (0.000, 0.000, 0.000)

Results
- energy relative to the elements (eV per atom) = -0.193
- calculated total energy (eV/f.u.) = -14.73

---

The following is a DFT calculation (PBE) of crystalline MnPd at its relaxed geometry.

a = 3.012 Å, b = 3.012 Å, c = 3.370 Å
α = 90.00°, β = 90.00°, γ = 90.00°
Positions (direct):
Pd (0.500, 0.500, 0.500)
Mn (0.000, 0.000, 0.000)

Results
- energy relative to the elements (eV per atom) = -0.200
- calculated total energy (eV/f.u.) = -14.74

---

The following is a DFT calculation (PBE) of crystalline MnPd2 at its relaxed geometry.

a = 4.035 Å, b = 5.539 Å, c = 8.241 Å
α = 90.00°, β = 90.00°, γ = 90.00°
Positions (direct):
Pd (0.250, 0.144, 0.425)
Mn (0.750, 0.348, 0.596)
Pd (0.750, 0.856, 0.575)
Pd (0.250, 0.644, 0.075)
Pd (0.250, 0.091, 0.765)
Mn (0.250, 0.152, 0.096)
Pd (0.750, 0.909, 0.235)
Pd (0.750, 0.409, 0.265)
Pd (0.750, 0.356, 0.925)
Mn (0.250, 0.652, 0.404)
Mn (0.750, 0.848, 0.904)
Pd (0.250, 0.591, 0.735)

Results
- energy relative to the elements (eV per atom) = -0.248
- spin magnetization (μB/atom) = 1.52
- calculated total energy (eV/f.u.) = -20.26

---

The following is a DFT calculation (PBE) of crystalline Mn11Pd21 at its relaxed geometry.

a = 8.097 Å, b = 8.097 Å, c = 7.438 Å
α = 90.00°, β = 90.00°, γ = 90.00°
Positions (direct):
Pd (0.000, 0.747, 0.743)
Mn (0.749, 0.749, 0.500)
Pd (0.747, 0.000, 0.743)
Mn (0.243, 0.757, 0.000)
Mn (0.500, 0.500, 0.000)
Mn (0.243, 0.243, 0.000)
Mn (0.251, 0.251, 0.500)
Mn (0.757, 0.243, 0.000)
Mn (0.251, 0.749, 0.500)
Pd (0.253, 0.000, 0.743)
Pd (0.749, 0.500, 0.248)
Pd (0.749, 0.500, 0.752)
Pd (0.253, 0.000, 0.257)
Mn (0.000, 0.500, 0.500)
Pd (0.747, 0.000, 0.257)
Pd (0.500, 0.500, 0.500)
Pd (0.251, 0.500, 0.752)
Pd (0.000, 0.747, 0.257)
Pd (0.500, 0.000, 0.000)
Pd (0.000, 0.000, 0.500)
Pd (0.500, 0.251, 0.248)
Pd (0.500, 0.749, 0.752)
Mn (0.757, 0.757, 0.000)
Pd (0.000, 0.000, 0.000)
Mn (0.500, 0.000, 0.500)
Pd (0.500, 0.251, 0.752)
Pd (0.000, 0.253, 0.743)
Pd (0.500, 0.749, 0.248)
Pd (0.000, 0.500, 0.000)
Mn (0.749, 0.251, 0.500)
Pd (0.251, 0.500, 0.248)
Pd (0.000, 0.253, 0.257)

Results
- energy relative to the elements (eV per atom) = -0.225
- calculated total energy (eV/f.u.) = -216.77

---

The following is a DFT calculation (PBE) of crystalline Mn2PdPt at its relaxed geometry.

a = 4.419 Å, b = 4.419 Å, c = 4.419 Å
α = 60.00°, β = 60.00°, γ = 60.00°
Positions (direct):
Mn (0.750, 0.750, 0.750)
Mn (0.250, 0.250, 0.250)
Pd (0.500, 0.500, 0.500)
Pt (0.000, 0.000, 0.000)

Results
- energy relative to the elements (eV per atom) = -0.285
- calculated total energy (eV/f.u.) = -30.71

---

The following is a DFT calculation (PBE) of crystalline MnSbPd at its relaxed geometry.

a = 4.351 Å, b = 4.351 Å, c = 4.351 Å
α = 60.00°, β = 60.00°, γ = 60.00°
Positions (direct):
Pd (0.500, 0.500, 0.500)
Mn (0.250, 0.250, 0.250)
Sb (0.000, 0.000, 0.000)

Results
- energy relative to the elements (eV per atom) = -0.094
- spin magnetization (μB/atom) = 1.09
- calculated total energy (eV/f.u.) = -18.75

---

The following is a DFT calculation (PBE) of crystalline Mn2SnSbPd4 at its relaxed geometry.

a = 7.886 Å, b = 7.886 Å, c = 7.886 Å
α = 33.65°, β = 33.65°, γ = 33.65°
Positions (direct):
Mn (0.751, 0.751, 0.751)
Pd (0.625, 0.625, 0.625)
Pd (0.125, 0.125, 0.125)
Pd (0.375, 0.375, 0.375)
Sb (0.000, 0.000, 0.000)
Mn (0.249, 0.249, 0.249)
Pd (0.875, 0.875, 0.875)
Sn (0.500, 0.500, 0.500)

Results
- energy relative to the elements (eV per atom) = -0.367
- spin magnetization (μB/atom) = 1.05
- calculated total energy (eV/f.u.) = -50.11

---

The following is a DFT calculation (PBE) of crystalline MnSi2Pd3 at its relaxed geometry.

a = 3.505 Å, b = 6.532 Å, c = 11.306 Å
α = 89.65°, β = 90.00°, γ = 90.00°
Positions (direct):
Pd (0.500, 0.803, 0.197)
Mn (0.500, 0.899, 0.508)
Si (0.000, 0.497, 0.830)
Si (0.000, 0.002, 0.672)
Pd (0.000, 0.222, 0.498)
Pd (0.000, 0.142, 0.128)
Pd (0.000, 0.127, 0.873)
Mn (0.500, 0.403, 0.995)
Pd (0.000, 0.640, 0.374)
Si (0.000, 0.003, 0.327)
Pd (0.000, 0.637, 0.628)
Si (0.500, 0.490, 0.501)
Pd (0.000, 0.730, 0.998)
Mn (0.500, 0.794, 0.799)
Si (0.000, 0.506, 0.171)
Pd (0.500, 0.303, 0.699)
Pd (0.500, 0.307, 0.302)
Si (0.500, 0.995, 0.000)

Results
- energy relative to the elements (eV per atom) = -0.542
- spin magnetization (μB/atom) = 0.54
- calculated total energy (eV/f.u.) = -38.80

---

The following is a DFT calculation (PBE) of crystalline Mn3Sn2Pd5 at its relaxed geometry.

a = 18.700 Å, b = 18.700 Å, c = 18.700 Å
α = 13.90°, β = 13.90°, γ = 13.90°
Positions (direct):
Pd (0.951, 0.951, 0.951)
Pd (0.349, 0.349, 0.349)
Mn (0.900, 0.900, 0.900)
Sn (0.200, 0.200, 0.200)
Pd (0.550, 0.550, 0.550)
Pd (0.450, 0.450, 0.450)
Pd (0.850, 0.850, 0.850)
Sn (0.400, 0.400, 0.400)
Pd (0.750, 0.750, 0.750)
Mn (0.100, 0.100, 0.100)
Mn (0.500, 0.500, 0.500)
Mn (0.301, 0.301, 0.301)
Pd (0.651, 0.651, 0.651)
Mn (0.000, 0.000, 0.000)
Sn (0.800, 0.800, 0.800)
Sn (0.600, 0.600, 0.600)
Pd (0.049, 0.049, 0.049)
Pd (0.150, 0.150, 0.150)
Pd (0.250, 0.250, 0.250)
Mn (0.699, 0.699, 0.699)

Results
- energy relative to the elements (eV per atom) = -0.360
- spin magnetization (μB/atom) = 1.28
- calculated total energy (eV/f.u.) = -65.01

---

The following is a DFT calculation (PBE) of crystalline MnTcPd at its relaxed geometry.

a = 4.092 Å, b = 4.092 Å, c = 4.092 Å
α = 60.00°, β = 60.00°, γ = 60.00°
Positions (direct):
Tc (0.500, 0.500, 0.500)
Pd (0.000, 0.000, 0.000)
Mn (0.750, 0.750, 0.750)

Results
- energy relative to the elements (eV per atom) = 0.476
- spin magnetization (μB/atom) = 0.41
- calculated total energy (eV/f.u.) = -23.28

---

The following is a DFT calculation (PBE) of crystalline MnTePd at its relaxed geometry.

a = 4.484 Å, b = 4.484 Å, c = 4.484 Å
α = 60.00°, β = 60.00°, γ = 60.00°
Positions (direct):
Mn (0.500, 0.500, 0.500)
Pd (0.250, 0.250, 0.250)
Te (0.000, 0.000, 0.000)

Results
- energy relative to the elements (eV per atom) = -0.210
- spin magnetization (μB/atom) = 1.61
- calculated total energy (eV/f.u.) = -18.11

---

The following is a DFT calculation (PBE) of crystalline MnTePd at its relaxed geometry.

a = 4.496 Å, b = 4.496 Å, c = 4.496 Å
α = 60.00°, β = 60.00°, γ = 60.00°
Positions (direct):
Mn (0.750, 0.750, 0.750)
Te (0.500, 0.500, 0.500)
Pd (0.250, 0.250, 0.250)

Results
- energy relative to the elements (eV per atom) = -0.003
- spin magnetization (μB/atom) = 1.55
- calculated total energy (eV/f.u.) = -17.50